# 1
# LaGe2IrRu GGA-PBE relaxed
# Space group   I-4m2, No. 119
# V   19.1 Å³ per atom
# Formation energy   -0.766 eV/atom
# Size of the total moment   0.0 μB per formula unit
# Theoretical density   10.1 g/cm³
data_LaGe2IrRu
_chemical_formula_sum 'La1 Ge2 Ir1 Ru1'
_space_group_name_H-M_alt 'P 1'
_space_group_IT_number 1
_space_group_name_Hall 'P 1'
_cell_length_a 6.010
_cell_length_b 6.010
_cell_length_c 6.010
_cell_angle_alpha 138.24
_cell_angle_beta 138.24
_cell_angle_gamma 60.53
loop_
_atom_site_label
_atom_site_type_symbol
_atom_site_fract_x
_atom_site_fract_y
_atom_site_fract_z
_atom_site_occupancy
La1 La 0.000 0.000 0.000 1
Ge1 Ge 0.630 0.630 0.000 1
Ge2 Ge 0.370 0.370 0.000 1
Ir1 Ir 0.250 0.750 0.500 1
Ru1 Ru 0.750 0.250 0.500 1

# 2
# Cu2P2O7 GGA-PBE relaxed
# Space group   C2/c, No. 15
# V   11.7 Å³ per atom
# Formation energy   -2.029 eV/atom
# Theoretical density   3.9 g/cm³
data_Cu2P2O7
_chemical_formula_sum 'Cu4 P4 O14'
_space_group_name_H-M_alt 'P 1'
_space_group_IT_number 1
_space_group_name_Hall 'P 1'
_cell_length_a 5.454
_cell_length_b 5.454
_cell_length_c 9.377
_cell_angle_alpha 76.10
_cell_angle_beta 76.10
_cell_angle_gamma 97.61
loop_
_atom_site_label
_atom_site_type_symbol
_atom_site_fract_x
_atom_site_fract_y
_atom_site_fract_z
_atom_site_occupancy
Cu1 Cu 0.289 0.662 0.991 1
Cu2 Cu 0.338 0.711 0.509 1
Cu3 Cu 0.711 0.338 0.009 1
Cu4 Cu 0.662 0.289 0.491 1
P1 P 0.201 0.178 0.293 1
P2 P 0.822 0.799 0.207 1
P3 P 0.799 0.822 0.707 1
P4 P 0.178 0.201 0.793 1
O1 O 0.012 0.310 0.377 1
O2 O 0.690 0.988 0.123 1
O3 O 0.988 0.690 0.623 1
O4 O 0.310 0.012 0.877 1
O5 O 0.376 0.065 0.386 1
O6 O 0.935 0.624 0.114 1
O7 O 0.624 0.935 0.614 1
O8 O 0.065 0.376 0.886 1
O9 O 0.939 0.061 0.750 1
O10 O 0.061 0.939 0.250 1
O11 O 0.370 0.371 0.638 1
O12 O 0.629 0.630 0.862 1
O13 O 0.630 0.629 0.362 1
O14 O 0.371 0.370 0.138 1

# 3
# Zn3P2O12 GGA-PBE relaxed
# Space group   Pnma, No. 62
# V   12.9 Å³ per atom
# Formation energy   -1.342 eV/atom
# Size of the total moment   8.0 μB per formula unit
# Theoretical density   3.4 g/cm³
data_Zn3P2O12
_chemical_formula_sum 'Zn12 P8 O48'
_space_group_name_H-M_alt 'P 1'
_space_group_IT_number 1
_space_group_name_Hall 'P 1'
_cell_length_a 4.902
_cell_length_b 10.473
_cell_length_c 17.077
_cell_angle_alpha 90.00
_cell_angle_beta 90.00
_cell_angle_gamma 90.00
loop_
_atom_site_label
_atom_site_type_symbol
_atom_site_fract_x
_atom_site_fract_y
_atom_site_fract_z
_atom_site_occupancy
Zn1 Zn 0.498 0.527 0.250 1
Zn2 Zn 0.002 0.027 0.250 1
Zn3 Zn 0.502 0.473 0.750 1
Zn4 Zn 0.998 0.973 0.750 1
Zn5 Zn 0.998 0.745 0.154 1
Zn6 Zn 0.502 0.245 0.346 1
Zn7 Zn 0.002 0.255 0.654 1
Zn8 Zn 0.498 0.755 0.846 1
Zn9 Zn 0.002 0.255 0.846 1
Zn10 Zn 0.498 0.755 0.654 1
Zn11 Zn 0.998 0.745 0.346 1
Zn12 Zn 0.502 0.245 0.154 1
P1 P 0.250 0.595 0.000 1
P2 P 0.250 0.095 0.500 1
P3 P 0.750 0.405 0.500 1
P4 P 0.750 0.905 0.000 1
P5 P 0.750 0.405 0.000 1
P6 P 0.750 0.905 0.500 1
P7 P 0.250 0.595 0.500 1
P8 P 0.250 0.095 0.000 1
O1 O 0.500 0.500 0.000 1
O2 O 0.000 0.000 0.500 1
O3 O 0.500 0.500 0.500 1
O4 O 0.000 0.000 0.000 1
O5 O 0.000 0.500 0.000 1
O6 O 0.500 0.000 0.500 1
O7 O 0.000 0.500 0.500 1
O8 O 0.500 0.000 0.000 1
O9 O 0.254 0.668 0.076 1
O10 O 0.246 0.168 0.424 1
O11 O 0.746 0.332 0.576 1
O12 O 0.754 0.832 0.924 1
O13 O 0.746 0.332 0.924 1
O14 O 0.754 0.832 0.576 1
O15 O 0.254 0.668 0.424 1
O16 O 0.246 0.168 0.076 1
O17 O 0.749 0.830 0.075 1
O18 O 0.751 0.330 0.425 1
O19 O 0.251 0.170 0.575 1
O20 O 0.249 0.670 0.925 1
O21 O 0.251 0.170 0.925 1
O22 O 0.249 0.670 0.575 1
O23 O 0.749 0.830 0.425 1
O24 O 0.751 0.330 0.075 1
O25 O 0.209 0.661 0.250 1
O26 O 0.291 0.161 0.250 1
O27 O 0.791 0.339 0.750 1
O28 O 0.709 0.839 0.750 1
O29 O 0.818 0.838 0.250 1
O30 O 0.682 0.338 0.250 1
O31 O 0.182 0.162 0.750 1
O32 O 0.318 0.662 0.750 1
O33 O 0.773 0.591 0.177 1
O34 O 0.727 0.091 0.323 1
O35 O 0.227 0.409 0.677 1
O36 O 0.273 0.909 0.823 1
O37 O 0.227 0.409 0.823 1
O38 O 0.273 0.909 0.677 1
O39 O 0.773 0.591 0.323 1
O40 O 0.727 0.091 0.177 1
O41 O 0.215 0.902 0.184 1
O42 O 0.285 0.402 0.316 1
O43 O 0.785 0.098 0.684 1
O44 O 0.715 0.598 0.816 1
O45 O 0.785 0.098 0.816 1
O46 O 0.715 0.598 0.684 1
O47 O 0.215 0.902 0.316 1
O48 O 0.285 0.402 0.184 1

# 4
# KCaP3H6O12 GGA-PBE relaxed
# Space group   P2_1/c, No. 14
# V   11.8 Å³ per atom
# Formation energy   -2.233 eV/atom
# Size of the total moment   0.0 μB per formula unit
# Theoretical density   2.3 g/cm³
data_KCaP3H6O12
_chemical_formula_sum 'K4 Ca4 P12 H24 O48'
_space_group_name_H-M_alt 'P 1'
_space_group_IT_number 1
_space_group_name_Hall 'P 1'
_cell_length_a 12.067
_cell_length_b 7.357
_cell_length_c 13.039
_cell_angle_alpha 69.39
_cell_angle_beta 90.00
_cell_angle_gamma 90.00
loop_
_atom_site_label
_atom_site_type_symbol
_atom_site_fract_x
_atom_site_fract_y
_atom_site_fract_z
_atom_site_occupancy
K1 K 0.592 0.774 0.596 1
K2 K 0.908 0.774 0.096 1
K3 K 0.408 0.226 0.404 1
K4 K 0.092 0.226 0.904 1
Ca1 Ca 0.789 0.125 0.798 1
Ca2 Ca 0.711 0.125 0.298 1
Ca3 Ca 0.211 0.875 0.202 1
Ca4 Ca 0.289 0.875 0.702 1
P1 P 0.678 0.307 0.521 1
P2 P 0.822 0.307 0.021 1
P3 P 0.322 0.693 0.479 1
P4 P 0.178 0.693 0.979 1
P5 P 0.490 0.781 0.313 1
P6 P 0.010 0.781 0.813 1
P7 P 0.510 0.219 0.687 1
P8 P 0.990 0.219 0.187 1
P9 P 0.712 0.614 0.313 1
P10 P 0.788 0.614 0.813 1
P11 P 0.288 0.386 0.687 1
P12 P 0.212 0.386 0.187 1
H1 H 0.535 0.781 0.810 1
H2 H 0.965 0.781 0.310 1
H3 H 0.465 0.219 0.190 1
H4 H 0.035 0.219 0.690 1
H5 H 0.982 0.429 0.647 1
H6 H 0.518 0.429 0.147 1
H7 H 0.018 0.571 0.353 1
H8 H 0.482 0.571 0.853 1
H9 H 0.297 0.000 0.963 1
H10 H 0.203 0.000 0.463 1
H11 H 0.703 0.000 0.037 1
H12 H 0.797 0.000 0.537 1
H13 H 0.846 0.816 0.520 1
H14 H 0.654 0.816 0.020 1
H15 H 0.154 0.184 0.480 1
H16 H 0.346 0.184 0.980 1
H17 H 0.032 0.753 0.612 1
H18 H 0.468 0.753 0.112 1
H19 H 0.968 0.247 0.388 1
H20 H 0.532 0.247 0.888 1
H21 H 0.463 0.750 0.992 1
H22 H 0.037 0.750 0.492 1
H23 H 0.537 0.250 0.008 1
H24 H 0.963 0.250 0.508 1
O1 O 0.767 0.200 0.599 1
O2 O 0.733 0.200 0.099 1
O3 O 0.233 0.800 0.401 1
O4 O 0.267 0.800 0.901 1
O5 O 0.873 0.209 0.949 1
O6 O 0.627 0.209 0.449 1
O7 O 0.127 0.791 0.051 1
O8 O 0.373 0.791 0.551 1
O9 O 0.581 0.373 0.588 1
O10 O 0.919 0.373 0.088 1
O11 O 0.419 0.627 0.412 1
O12 O 0.081 0.627 0.912 1
O13 O 0.081 0.855 0.712 1
O14 O 0.419 0.855 0.212 1
O15 O 0.919 0.145 0.288 1
O16 O 0.581 0.145 0.788 1
O17 O 0.453 0.079 0.644 1
O18 O 0.047 0.079 0.144 1
O19 O 0.547 0.921 0.356 1
O20 O 0.953 0.921 0.856 1
O21 O 0.922 0.630 0.794 1
O22 O 0.578 0.630 0.294 1
O23 O 0.078 0.370 0.206 1
O24 O 0.422 0.370 0.706 1
O25 O 0.248 0.528 0.738 1
O26 O 0.252 0.528 0.238 1
O27 O 0.752 0.472 0.262 1
O28 O 0.748 0.472 0.762 1
O29 O 0.737 0.812 0.779 1
O30 O 0.763 0.812 0.279 1
O31 O 0.263 0.188 0.221 1
O32 O 0.237 0.188 0.721 1
O33 O 0.279 0.479 0.553 1
O34 O 0.221 0.479 0.053 1
O35 O 0.721 0.521 0.447 1
O36 O 0.779 0.521 0.947 1
O37 O 0.972 0.295 0.699 1
O38 O 0.528 0.295 0.199 1
O39 O 0.028 0.705 0.301 1
O40 O 0.472 0.705 0.801 1
O41 O 0.288 0.083 0.007 1
O42 O 0.212 0.083 0.507 1
O43 O 0.712 0.917 0.993 1
O44 O 0.788 0.917 0.493 1
O45 O 0.995 0.700 0.560 1
O46 O 0.505 0.700 0.060 1
O47 O 0.005 0.300 0.440 1
O48 O 0.495 0.300 0.940 1